Compound: Mn
Source: the Materials Project
Functional: r2SCAN
Structure: relaxed

Results
* energy relative to the elements: 0.42 eV/atom
* ΔE to the lowest computed polymorph: 0.421 eV per atom
* crystal system: cubic
* spin magnetization: 0.0 μB per formula unit
* DFT total energy: -14.263 eV for the cell shown
* space group: Fm-3m, No. 225

a b c (Å): 2.4535 2.4535 2.4535
angles (deg): 60.00 60.00 60.00
Atoms (fractional coordinates):
Mn: 0.0000 0.0000 0.0000